! Li2VPO5 (PBE with a Hubbard U, optimized geometry); values from VASP
&SYSTEM
  ibrav = 0, nat = 36, ntyp = 4
/
ATOMIC_SPECIES
Li 6.94 Li.upf
O 16.00 O.upf
P 30.97 P.upf
V 50.94 V.upf
ATOMIC_POSITIONS crystal
Li 0.844 0.351 0.440
O 0.658 0.079 0.257
P 0.246 0.779 0.894
P 0.753 0.225 0.109
O 0.268 0.773 0.335
O 0.733 0.223 0.658
Li 0.371 0.538 0.719
O 0.086 0.064 0.317
V 0.495 0.241 0.750
O 0.142 0.871 0.014
O 0.915 0.439 0.179
O 0.085 0.565 0.820
O 0.133 0.365 0.518
Li 0.801 0.560 0.962
Li 0.727 0.851 0.939
Li 0.159 0.689 0.557
V 0.011 0.770 0.252
O 0.413 0.734 0.985
O 0.653 0.572 0.750
O 0.589 0.260 0.006
Li 0.171 0.429 0.050
O 0.258 0.285 0.843
O 0.410 0.240 0.497
O 0.340 0.917 0.739
V 0.504 0.735 0.247
O 0.900 0.928 0.699
O 0.336 0.414 0.245
V 0.983 0.226 0.745
O 0.871 0.143 0.989
P 0.242 0.268 0.397
P 0.758 0.727 0.604
O 0.746 0.723 0.148
O 0.584 0.748 0.506
Li 0.294 0.171 0.064
Li 0.502 0.009 0.478
O 0.883 0.649 0.489
CELL_PARAMETERS angstrom
-7.237 0.000 0.000
3.233 6.523 0.000
-0.042 -0.205 -7.907
! - Energy: -6.83 eV/atom
! - SG: P1 (1)
! - Calculated formation energy: -2.6143 eV/atom
! - ΔE to the lowest computed polymorph: 13 meV per atom